1.
Na4Ni9O18 | PBE+U | optimized geometry

Calculated values
energy of formation from the pure elements: -34.0 eV/f.u.
SG: P1 (1)
energy: -4.681 eV per atom

a b c (Å): 7.087 7.109 7.513
angles (deg): 103.80 90.67 105.82
Element x y z (fractional)
O: 0.654 0.993 0.928
O: 0.318 0.630 0.936
O: 0.216 0.540 0.262
O: 0.566 0.239 0.405
O: 0.330 0.003 0.074
O: 0.007 0.681 0.073
O: 0.443 0.772 0.589
O: 0.119 0.781 0.744
O: 0.889 0.217 0.259
O: 0.238 0.924 0.404
O: 0.539 0.855 0.257
O: 0.792 0.462 0.736
O: 0.984 0.318 0.930
O: 0.899 0.568 0.412
O: 0.773 0.088 0.571
O: 0.096 0.402 0.599
O: 0.457 0.143 0.726
O: 0.680 0.384 0.093
Ni: 0.610 0.116 0.165
Ni: 0.276 0.774 0.167
Ni: 0.503 0.003 0.495
Ni: 0.388 0.888 0.834
Ni: 0.717 0.228 0.832
Ni: 0.057 0.548 0.835
Ni: 0.944 0.449 0.170
Ni: 0.169 0.666 0.502
Ni: 0.835 0.330 0.499
Na: 0.202 0.200 0.302
Na: 0.581 0.581 0.365
Na: 0.671 0.675 0.970
Na: 0.103 0.098 0.698

***

2.
Na4Ni2O5 | PBE+U | optimized geometry

Calculated values
energy of formation from the pure elements: -14.4 eV/f.u.
SG: P2_1/c (14)
energy: -4.320 eV per atom

a b c (Å): 5.620 9.074 12.694
angles (deg): 62.51 90.00 90.00
Element x y z (fractional)
Na: 0.873 0.875 0.639
Na: 0.627 0.875 0.139
Na: 0.572 0.199 0.463
Na: 0.412 0.298 0.040
Na: 0.912 0.702 0.460
Na: 0.588 0.702 0.960
Na: 0.381 0.609 0.370
Na: 0.088 0.298 0.540
Na: 0.928 0.199 0.963
Na: 0.072 0.801 0.037
Na: 0.119 0.609 0.870
Na: 0.127 0.125 0.361
Na: 0.428 0.801 0.537
Na: 0.619 0.391 0.630
Na: 0.373 0.125 0.861
Na: 0.881 0.391 0.130
O: 0.265 0.029 0.053
O: 0.841 0.589 0.677
O: 0.020 0.242 0.741
O: 0.341 0.411 0.823
O: 0.918 0.109 0.193
O: 0.159 0.411 0.323
O: 0.264 0.549 0.556
O: 0.765 0.971 0.447
O: 0.582 0.109 0.693
O: 0.735 0.971 0.947
O: 0.235 0.029 0.553
O: 0.082 0.891 0.807
O: 0.659 0.589 0.177
O: 0.236 0.549 0.056
O: 0.520 0.758 0.759
O: 0.418 0.891 0.307
O: 0.736 0.451 0.444
O: 0.980 0.758 0.259
O: 0.764 0.451 0.944
O: 0.480 0.242 0.241
Ni: 0.117 0.458 0.700
Ni: 0.383 0.458 0.200
Ni: 0.156 0.956 0.203
Ni: 0.344 0.956 0.703
Ni: 0.656 0.044 0.297
Ni: 0.883 0.542 0.300
Ni: 0.844 0.044 0.797
Ni: 0.617 0.542 0.800

***

3.
NaNi2O4 | PBE+U | optimized geometry

Calculated values
energy of formation from the pure elements: -7.9 eV/f.u.
energy above the lowest structure with this stoichiometry: 0 meV/atom
SG: P1 (1)
energy: -4.678 eV per atom

a b c (Å): 4.871 5.771 11.261
angles (deg): 89.61 90.16 89.78
Element x y z (fractional)
Na: 0.642 0.250 0.250
Na: 0.987 0.250 0.751
Na: 0.015 0.750 0.250
Na: 0.359 0.750 0.750
Ni: 0.500 0.003 0.500
Ni: 0.500 0.500 0.000
Ni: 0.500 0.000 0.000
Ni: 0.001 0.252 0.497
Ni: 0.998 0.747 0.504
Ni: 0.002 0.247 0.003
Ni: 0.998 0.753 0.996
Ni: 0.500 0.498 0.500
O: 0.334 0.240 0.088
O: 0.678 0.237 0.914
O: 0.178 0.003 0.907
O: 0.822 0.997 0.093
O: 0.664 0.741 0.587
O: 0.333 0.259 0.412
O: 0.666 0.760 0.912
O: 0.175 0.485 0.590
O: 0.825 0.500 0.091
O: 0.319 0.734 0.414
O: 0.322 0.763 0.086
O: 0.829 0.014 0.410
O: 0.171 0.013 0.589
O: 0.825 0.490 0.409
O: 0.175 0.500 0.909
O: 0.683 0.266 0.588

***

4.
Na2NiO2 | PBE+U | optimized geometry

Calculated values
energy of formation from the pure elements: -6.5 eV/f.u.
energy above the lowest structure with this stoichiometry: 13 meV/atom
SG: Immm (71)
energy: -4.177 eV per atom

a b c (Å): 5.523 5.523 5.523
angles (deg): 149.89 131.34 58.29
Element x y z (fractional)
Ni: 0.000 0.000 0.000
O: 0.869 0.369 0.500
O: 0.131 0.631 0.500
Na: 0.679 0.679 0.000
Na: 0.321 0.321 0.000

***

5.
NaNi2O3 | PBE+U | optimized geometry

Calculated values
energy of formation from the pure elements: -7.6 eV/f.u.
SG: C2 (5)
energy: -4.694 eV per atom

a b c (Å): 5.187 5.359 5.187
angles (deg): 79.28 118.00 79.28
Element x y z (fractional)
O: 0.615 0.207 0.928
O: 0.713 0.765 0.701
O: 0.913 0.213 0.615
O: 0.385 0.787 0.087
O: 0.299 0.235 0.287
O: 0.072 0.793 0.385
Ni: 0.999 0.000 0.001
Ni: 0.503 0.500 0.497
Ni: 0.332 0.000 0.668
Ni: 0.665 0.000 0.335
Na: 0.171 0.500 0.829
Na: 0.832 0.500 0.168

***

6.
Na5Ni6O12 | PBE+U | optimized geometry

Calculated values
energy of formation from the pure elements: -29.2 eV/f.u.
SG: P-1 (2)
energy: -4.625 eV per atom

a b c (Å): 5.984 6.854 6.906
angles (deg): 66.81 76.84 67.21
Element x y z (fractional)
O: 0.450 0.443 0.861
O: 0.895 0.216 0.468
O: 0.790 0.104 0.196
O: 0.210 0.896 0.804
O: 0.105 0.784 0.532
O: 0.290 0.103 0.199
O: 0.404 0.215 0.469
O: 0.946 0.446 0.867
O: 0.550 0.557 0.139
O: 0.054 0.554 0.133
O: 0.710 0.897 0.801
O: 0.596 0.785 0.531
Na: 0.838 0.186 0.817
Na: 0.320 0.177 0.827
Na: 0.500 0.500 0.500
Na: 0.680 0.823 0.173
Na: 0.162 0.814 0.183
Ni: 0.920 0.332 0.167
Ni: 0.419 0.331 0.166
Ni: 0.248 0.003 0.501
Ni: 0.752 0.997 0.499
Ni: 0.581 0.669 0.834
Ni: 0.080 0.668 0.833

***

7.
Na7Ni17O24 | PBE+U | optimized geometry

Calculated values
energy of formation from the pure elements: -59.8 eV/f.u.
SG: P1 (1)
energy: -4.717 eV per atom

a b c (Å): 5.988 6.120 14.795
angles (deg): 89.70 89.79 59.91
Element x y z (fractional)
Na: 0.639 0.646 0.966
Na: 0.309 0.301 0.297
Na: 0.312 0.812 0.800
Na: 0.137 0.136 0.465
Na: 0.636 0.136 0.463
Na: 0.973 0.474 0.132
Na: 0.812 0.811 0.798
O: 0.815 0.791 0.554
O: 0.812 0.838 0.052
O: 0.165 0.617 0.702
O: 0.318 0.779 0.556
O: 0.670 0.619 0.704
O: 0.137 0.104 0.212
O: 0.629 0.168 0.706
O: 0.797 0.280 0.047
O: 0.953 0.000 0.895
O: 0.997 0.948 0.368
O: 0.151 0.668 0.217
O: 0.278 0.327 0.559
O: 0.478 0.929 0.371
O: 0.334 0.299 0.044
O: 0.470 0.019 0.892
O: 0.475 0.450 0.882
O: 0.611 0.649 0.220
O: 0.000 0.451 0.881
O: 0.277 0.823 0.057
O: 0.470 0.501 0.380
O: 0.947 0.496 0.382
O: 0.782 0.330 0.560
O: 0.131 0.157 0.709
O: 0.670 0.124 0.205
Ni: 0.808 0.314 0.801
Ni: 0.139 0.147 0.966
Ni: 0.973 0.974 0.131
Ni: 0.974 0.473 0.631
Ni: 0.974 0.974 0.632
Ni: 0.474 0.973 0.632
Ni: 0.474 0.974 0.131
Ni: 0.309 0.308 0.799
Ni: 0.810 0.800 0.296
Ni: 0.811 0.305 0.300
Ni: 0.639 0.639 0.464
Ni: 0.474 0.473 0.632
Ni: 0.139 0.633 0.463
Ni: 0.137 0.643 0.963
Ni: 0.473 0.474 0.131
Ni: 0.308 0.800 0.297
Ni: 0.640 0.147 0.967

***

8.
Na4NiO4 | PBE+U | optimized geometry

Calculated values
energy of formation from the pure elements: -11.4 eV/f.u.
SG: Pc (7)
energy: -4.113 eV per atom

a b c (Å): 6.040 10.126 17.546
angles (deg): 88.95 90.00 90.00
Element x y z (fractional)
Ni: 0.557 0.043 0.376
Ni: 0.074 0.935 0.130
Ni: 0.417 0.527 0.625
Ni: 0.913 0.465 0.877
Ni: 0.926 0.935 0.630
Ni: 0.583 0.527 0.125
Ni: 0.443 0.043 0.876
Ni: 0.087 0.465 0.377
O: 0.512 0.872 0.369
O: 0.518 0.355 0.628
O: 0.001 0.378 0.788
O: 0.484 0.611 0.712
O: 0.965 0.365 0.456
O: 0.002 0.641 0.373
O: 0.877 0.521 0.115
O: 0.035 0.365 0.956
O: 0.088 0.865 0.559
O: 0.482 0.355 0.128
O: 0.912 0.865 0.059
O: 0.533 0.149 0.950
O: 0.483 0.147 0.293
O: 0.527 0.607 0.542
O: 0.488 0.872 0.869
O: 0.516 0.611 0.212
O: 0.517 0.147 0.793
O: 0.607 0.458 0.881
O: 0.467 0.149 0.450
O: 0.473 0.607 0.042
O: 0.393 0.458 0.381
O: 0.999 0.378 0.288
O: 0.638 0.963 0.618
O: 0.974 0.115 0.128
O: 0.123 0.521 0.615
O: 0.858 0.067 0.378
O: 0.035 0.857 0.715
O: 0.965 0.857 0.215
O: 0.998 0.641 0.873
O: 0.142 0.067 0.878
O: 0.362 0.963 0.118
O: 0.026 0.115 0.628
Na: 0.613 0.804 0.148
Na: 0.096 0.850 0.852
Na: 0.834 0.676 0.000
Na: 0.183 0.452 0.062
Na: 0.817 0.452 0.562
Na: 0.387 0.804 0.648
Na: 0.332 0.031 0.548
Na: 0.900 0.605 0.240
Na: 0.657 0.602 0.424
Na: 0.834 0.195 0.863
Na: 0.166 0.195 0.363
Na: 0.340 0.351 0.501
Na: 0.149 0.314 0.675
Na: 0.330 0.712 0.306
Na: 0.670 0.712 0.806
Na: 0.370 0.409 0.253
Na: 0.630 0.409 0.753
Na: 0.343 0.602 0.924
Na: 0.851 0.314 0.175
Na: 0.665 0.159 0.675
Na: 0.668 0.031 0.048
Na: 0.904 0.850 0.352
Na: 0.166 0.676 0.500
Na: 0.100 0.605 0.740
Na: 0.818 0.063 0.245
Na: 0.690 0.302 0.367
Na: 0.182 0.063 0.745
Na: 0.335 0.159 0.175
Na: 0.159 0.134 0.004
Na: 0.310 0.302 0.867
Na: 0.841 0.134 0.504
Na: 0.660 0.351 0.001

***

9.
Na5NiO4 | PBE+U | optimized geometry

Calculated values
energy of formation from the pure elements: -14.3 eV/f.u.
SG: Pbca (61)
energy: -4.115 eV per atom

a b c (Å): 5.984 10.340 18.051
angles (deg): 90.00 90.00 90.00
Element x y z (fractional)
Na: 0.585 0.657 0.999
Na: 0.900 0.329 0.329
Na: 0.400 0.171 0.329
Na: 0.104 0.920 0.749
Na: 0.400 0.671 0.171
Na: 0.077 0.561 0.066
Na: 0.085 0.843 0.999
Na: 0.923 0.939 0.566
Na: 0.600 0.829 0.671
Na: 0.423 0.061 0.934
Na: 0.923 0.439 0.934
Na: 0.896 0.080 0.251
Na: 0.072 0.797 0.361
Na: 0.428 0.797 0.861
Na: 0.415 0.843 0.499
Na: 0.915 0.157 0.001
Na: 0.928 0.703 0.861
Na: 0.577 0.939 0.066
Na: 0.100 0.671 0.671
Na: 0.577 0.439 0.434
Na: 0.928 0.203 0.639
Na: 0.104 0.420 0.751
Na: 0.604 0.080 0.751
Na: 0.428 0.297 0.639
Na: 0.572 0.203 0.139
Na: 0.085 0.343 0.501
Na: 0.415 0.343 0.001
Na: 0.100 0.171 0.829
Na: 0.896 0.580 0.249
Na: 0.600 0.329 0.829
Na: 0.396 0.920 0.249
Na: 0.915 0.657 0.499
Na: 0.396 0.420 0.251
Na: 0.072 0.297 0.139
Na: 0.572 0.703 0.361
Na: 0.077 0.061 0.434
Na: 0.900 0.829 0.171
Na: 0.423 0.561 0.566
Na: 0.585 0.157 0.501
Na: 0.604 0.580 0.749
O: 0.735 0.872 0.788
O: 0.262 0.362 0.375
O: 0.362 0.952 0.379
O: 0.235 0.128 0.712
O: 0.762 0.638 0.125
O: 0.862 0.548 0.379
O: 0.765 0.872 0.288
O: 0.695 0.368 0.545
O: 0.138 0.952 0.879
O: 0.738 0.638 0.625
O: 0.762 0.138 0.375
O: 0.238 0.362 0.875
O: 0.138 0.452 0.621
O: 0.262 0.862 0.125
O: 0.805 0.868 0.455
O: 0.362 0.452 0.121
O: 0.638 0.548 0.879
O: 0.738 0.138 0.875
O: 0.735 0.372 0.712
O: 0.265 0.628 0.288
O: 0.195 0.132 0.545
O: 0.805 0.368 0.045
O: 0.305 0.132 0.045
O: 0.235 0.628 0.788
O: 0.265 0.128 0.212
O: 0.695 0.868 0.955
O: 0.305 0.632 0.455
O: 0.638 0.048 0.621
O: 0.765 0.372 0.212
O: 0.238 0.862 0.625
O: 0.195 0.632 0.955
O: 0.862 0.048 0.121
Ni: 0.324 0.039 0.624
Ni: 0.176 0.539 0.376
Ni: 0.676 0.961 0.376
Ni: 0.824 0.461 0.624
Ni: 0.676 0.461 0.124
Ni: 0.324 0.539 0.876
Ni: 0.824 0.961 0.876
Ni: 0.176 0.039 0.124

***

10.
Na9Ni7O16 | PBE+U | optimized geometry

Calculated values
energy of formation from the pure elements: -41.6 eV/f.u.
SG: P-1 (2)
energy: -4.512 eV per atom

a b c (Å): 6.900 6.976 7.924
angles (deg): 65.66 77.04 69.49
Element x y z (fractional)
Na: 0.314 0.685 0.432
Na: 0.054 0.929 0.691
Na: 0.000 0.500 0.000
Na: 0.423 0.561 0.812
Na: 0.577 0.439 0.188
Na: 0.946 0.071 0.309
Na: 0.186 0.797 0.067
Na: 0.686 0.315 0.568
Na: 0.814 0.203 0.933
Ni: 0.252 0.244 0.749
Ni: 0.127 0.367 0.382
Ni: 0.748 0.756 0.251
Ni: 0.873 0.633 0.618
Ni: 0.500 0.000 0.500
Ni: 0.379 0.118 0.130
Ni: 0.621 0.882 0.870
O: 0.007 0.296 0.641
O: 0.281 0.413 0.137
O: 0.993 0.704 0.359
O: 0.719 0.587 0.863
O: 0.624 0.692 0.506
O: 0.252 0.037 0.410
O: 0.376 0.308 0.494
O: 0.635 0.060 0.229
O: 0.856 0.845 0.992
O: 0.748 0.963 0.590
O: 0.503 0.191 0.848
O: 0.142 0.553 0.709
O: 0.858 0.447 0.291
O: 0.365 0.940 0.771
O: 0.144 0.155 0.008
O: 0.497 0.809 0.152